No. 1
This record from Materials Project describes an optimized crystal structure of Mg149S. The functional is r²SCAN.

Unit cell a=15.8395 b=15.8395 c=15.4429 alpha=90.00 beta=90.00 gamma=120.00
Fractional coordinates of all 150 atoms:
Mg 0.2000 0.2000 0.3339
Mg 0.2667 0.3335 0.5000
Mg 0.1989 0.8011 0.0000
Mg 0.6667 0.3333 0.5000
Mg 0.3998 0.6002 0.6676
Mg 0.0668 0.7333 0.5000
Mg 0.6012 0.8006 0.6673
Mg 0.4670 0.7335 0.8340
Mg 0.2000 0.2000 0.6661
Mg 0.4666 0.1333 0.1664
Mg 0.0000 0.2000 0.6661
Mg 0.6666 0.5334 0.8336
Mg 0.8000 0.8000 0.6661
Mg 0.0666 0.5333 0.8336
Mg 0.4666 0.3334 0.8336
Mg 0.6665 0.9332 0.5000
Mg 0.1994 0.8006 0.3327
Mg 0.5999 0.6001 0.6662
Mg 0.2666 0.5332 0.5000
Mg 0.4668 0.7334 0.5000
Mg 0.6002 0.3998 0.3325
Mg 0.7995 0.3998 0.3325
Mg 0.2666 0.1333 0.1666
Mg 0.0000 0.0000 0.3306
Mg 0.0669 0.5335 0.5000
Mg 0.8004 0.1996 0.0000
Mg 0.0656 0.3312 0.8339
Mg 0.8668 0.3334 0.5000
Mg 0.4670 0.7335 0.1660
Mg 0.5991 0.9996 0.0000
Mg 0.0002 0.6001 0.3338
Mg 0.9983 0.8007 0.0000
Mg 0.6688 0.7344 0.8339
Mg 0.4667 0.9334 0.8336
Mg 0.3998 0.6002 0.3324
Mg 0.8000 0.0000 0.3339
Mg 0.8680 0.9340 0.8344
Mg 0.4005 0.4009 0.0000
Mg 0.0002 0.4001 0.6662
Mg 0.8008 0.1992 0.6667
Mg 0.3999 0.4001 0.6662
Mg 0.6666 0.1333 0.1664
Mg 0.4666 0.1333 0.8336
Mg 0.0000 0.8000 0.3339
Mg 0.0002 0.6001 0.6662
Mg 0.0660 0.1320 0.1656
Mg 0.3999 0.9998 0.6662
Mg 0.6022 0.8011 0.0000
Mg 0.2004 0.6002 0.6676
Mg 0.9983 0.1976 0.0000
Mg 0.2000 0.0000 0.3339
Mg 0.2667 0.9332 0.5000
Mg 0.4665 0.3334 0.5000
Mg 0.3998 0.7996 0.6676
Mg 0.0004 0.5995 0.0000
Mg 0.4667 0.5333 0.1664
Mg 0.5999 0.9998 0.6662
Mg 0.6666 0.5334 0.1664
Mg 0.4665 0.5335 0.5000
Mg 0.3999 0.7998 0.0000
Mg 0.0656 0.7344 0.1661
Mg 0.0000 0.8000 0.6661
Mg 0.8667 0.5334 0.8336
Mg 0.2004 0.6002 0.3324
Mg 0.6666 0.5335 0.5000
Mg 0.8668 0.9334 0.5000
Mg 0.1994 0.8006 0.6673
Mg 0.7994 0.3997 0.0000
Mg 0.4667 0.9334 0.1664
Mg 0.8667 0.7333 0.8334
Mg 0.2670 0.1335 0.5000
Mg 0.8667 0.5334 0.1664
Mg 0.6012 0.8006 0.3327
Mg 0.1994 0.3988 0.3327
Mg 0.8008 0.1992 0.3333
Mg 0.2665 0.5330 0.1660
Mg 0.0004 0.4009 0.0000
Mg 0.8000 0.8000 0.3339
Mg 0.1993 0.0017 0.0000
Mg 0.3998 0.7996 0.3324
Mg 0.6688 0.7344 0.1661
Mg 0.6665 0.7333 0.5000
Mg 0.8668 0.5335 0.5000
Mg 0.0666 0.1332 0.5000
Mg 0.5999 0.6001 0.3338
Mg 0.2665 0.7335 0.1660
Mg 0.0666 0.9334 0.5000
Mg 0.6003 0.2006 0.0000
Mg 0.6688 0.9344 0.1661
Mg 0.4665 0.9331 0.5000
Mg 0.8667 0.3334 0.1664
Mg 0.8667 0.3334 0.8336
Mg 0.8000 0.0000 0.6661
Mg 0.8008 0.6015 0.6667
Mg 0.1989 0.3978 0.0000
Mg 0.6002 0.2005 0.6675
Mg 0.3985 0.1992 0.3333
Mg 0.3985 0.1992 0.6667
Mg 0.8665 0.7330 0.5000
Mg 0.8665 0.1335 0.5000
Mg 0.2656 0.9344 0.8339
Mg 0.0660 0.1320 0.8344
Mg 0.3999 0.6001 0.0000
Mg 0.5999 0.9998 0.3338
Mg 0.6003 0.3997 0.0000
Mg 0.0656 0.7344 0.8339
Mg 0.4665 0.1332 0.5000
Mg 0.0002 0.4001 0.3338
Mg 0.8024 0.8007 0.0000
Mg 0.7995 0.3998 0.6675
Mg 0.3999 0.4001 0.3338
Mg 0.2666 0.1333 0.8334
Mg 0.2656 0.3312 0.1661
Mg 0.1994 0.3988 0.6673
Mg 0.0660 0.9340 0.8344
Mg 0.8667 0.1333 0.1666
Mg 0.2656 0.3312 0.8339
Mg 0.6667 0.3333 0.1663
Mg 0.6667 0.3333 0.8337
Mg 0.3992 0.1996 0.0000
Mg 0.6688 0.9344 0.8339
Mg 0.8004 0.6008 0.0000
Mg 0.8024 0.0017 0.0000
Mg 0.0000 0.0000 0.6694
Mg 0.6666 0.1332 0.5000
Mg 0.8008 0.6015 0.3333
Mg 0.2002 0.6001 0.0000
Mg 0.2656 0.9344 0.1661
Mg 0.6666 0.1333 0.8336
Mg 0.8667 0.1333 0.8334
Mg 0.2666 0.7334 0.5000
Mg 0.4005 0.9996 0.0000
Mg 0.2000 0.0000 0.6661
Mg 0.4666 0.3334 0.1664
Mg 0.6002 0.2005 0.3325
Mg 0.2665 0.5330 0.8340
Mg 0.2665 0.7335 0.8340
Mg 0.0656 0.3312 0.1661
Mg 0.0666 0.5333 0.1664
Mg 0.3999 0.9998 0.3338
Mg 0.1993 0.1976 0.0000
Mg 0.0660 0.9340 0.1656
Mg 0.5991 0.5995 0.0000
Mg 0.6002 0.3998 0.6675
Mg 0.0668 0.3335 0.5000
Mg 0.4667 0.5333 0.8336
Mg 0.8667 0.7333 0.1666
Mg 0.0000 0.2000 0.3339
Mg 0.8680 0.9340 0.1656
S 0.0000 0.0000 0.0000

Summary:
Uncorrected energy in eV per formula unit: -628.50
Total moment in μB per formula unit: 0.00

=====

No. 2
This record from Materials Project describes an optimized crystal structure of Li7Mn5O12. The functional is r²SCAN.

Unit cell a=4.9516 b=9.7219 c=4.9523 alpha=92.99 beta=62.41 gamma=101.31
Fractional coordinates of all 24 atoms:
O 0.7401 0.1092 0.3191
O 0.9266 0.8908 0.3476
O 0.1567 0.3807 0.9703
O 0.4890 0.3781 0.3038
O 0.6495 0.8883 0.9800
O 0.0172 0.1117 0.6867
O 0.5099 0.6193 0.6964
O 0.1777 0.6219 0.3628
O 0.8244 0.3812 0.6358
O 0.2826 0.8907 0.7038
O 0.3841 0.1093 0.9628
O 0.8423 0.6188 0.0308
Li 0.7522 0.2427 0.9959
Li 0.9145 0.7573 0.6708
Li 0.5732 0.7545 0.3367
Li 0.3333 0.0000 0.3333
Li 0.4206 0.2464 0.6552
Li 0.2461 0.7536 0.0115
Li 0.0935 0.2455 0.3299
Mn 0.8333 0.5000 0.3333
Mn 0.6653 0.0000 0.6655
Mn 0.1667 0.5009 0.6670
Mn 0.4999 0.4991 0.9997
Mn 0.0014 0.0000 0.0012

Summary:
Uncorrected energy in eV per formula unit: -215.81
Total moment in μB per formula unit: 18.00

=====

No. 3
This record from Materials Project describes an optimized crystal structure of K5Tl3O. The functional is r²SCAN.

Unit cell a=16.9494 b=16.9494 c=8.8162 alpha=90.00 beta=90.00 gamma=151.44
Fractional coordinates of all 36 atoms:
Tl 0.8158 0.1842 0.9430
Tl 0.9234 0.0766 0.5385
Tl 0.1842 0.8158 0.0570
Tl 0.3376 0.0863 0.2500
Tl 0.9234 0.0766 0.9615
Tl 0.1842 0.8158 0.4430
Tl 0.0863 0.3376 0.7500
Tl 0.8158 0.1842 0.5570
Tl 0.9137 0.6624 0.2500
Tl 0.0766 0.9234 0.0385
Tl 0.6624 0.9137 0.7500
Tl 0.0766 0.9234 0.4615
K 0.1934 0.2067 0.2500
K 0.4894 0.9548 0.2500
K 0.4500 0.5500 0.9660
K 0.6801 0.3199 0.0345
K 0.8797 0.6248 0.7500
K 0.8066 0.7933 0.7500
K 0.0452 0.5106 0.2500
K 0.6801 0.3199 0.4655
K 0.1203 0.3752 0.2500
K 0.2067 0.1934 0.7500
K 0.5106 0.0452 0.7500
K 0.6248 0.8797 0.2500
K 0.7933 0.8066 0.2500
K 0.5500 0.4500 0.4660
K 0.5500 0.4500 0.0340
K 0.3752 0.1203 0.7500
K 0.3199 0.6801 0.5345
K 0.3199 0.6801 0.9655
K 0.4500 0.5500 0.5340
K 0.9548 0.4894 0.7500
O 0.4885 0.5115 0.2500
O 0.3247 0.6753 0.2500
O 0.6753 0.3247 0.7500
O 0.5115 0.4885 0.7500

Summary:
Uncorrected energy in eV per formula unit: -200.25
Total moment in μB per formula unit: 0.00

=====

Copy entry 2 word for word.
This record from Materials Project describes an optimized crystal structure of Li7Mn5O12. The functional is r²SCAN.

Unit cell a=4.9516 b=9.7219 c=4.9523 alpha=92.99 beta=62.41 gamma=101.31
Fractional coordinates of all 24 atoms:
O 0.7401 0.1092 0.3191
O 0.9266 0.8908 0.3476
O 0.1567 0.3807 0.9703
O 0.4890 0.3781 0.3038
O 0.6495 0.8883 0.9800
O 0.0172 0.1117 0.6867
O 0.5099 0.6193 0.6964
O 0.1777 0.6219 0.3628
O 0.8244 0.3812 0.6358
O 0.2826 0.8907 0.7038
O 0.3841 0.1093 0.9628
O 0.8423 0.6188 0.0308
Li 0.7522 0.2427 0.9959
Li 0.9145 0.7573 0.6708
Li 0.5732 0.7545 0.3367
Li 0.3333 0.0000 0.3333
Li 0.4206 0.2464 0.6552
Li 0.2461 0.7536 0.0115
Li 0.0935 0.2455 0.3299
Mn 0.8333 0.5000 0.3333
Mn 0.6653 0.0000 0.6655
Mn 0.1667 0.5009 0.6670
Mn 0.4999 0.4991 0.9997
Mn 0.0014 0.0000 0.0012

Summary:
Uncorrected energy in eV per formula unit: -215.81
Total moment in μB per formula unit: 18.00